Version w
# MnC8Br4N2

MnC8Br4N2 after structural relaxation (PBE, the Materials Project).

Cell lengths 8.735, 15.157, 11.812 Å; angles 90.00, 93.47, 90.00 degrees
Positions (direct):
Mn1 0.229 0.096 0.254
Mn2 0.229 0.404 0.754
Mn3 0.771 0.596 0.246
Mn4 0.771 0.904 0.746
C1 0.145 0.653 0.523
C2 0.145 0.847 0.023
C3 0.179 0.104 0.728
C4 0.179 0.396 0.228
C5 0.189 0.037 0.615
C6 0.189 0.463 0.115
C7 0.197 0.733 0.462
C8 0.197 0.767 0.962
C9 0.208 0.136 0.609
C10 0.208 0.364 0.109
C11 0.237 0.617 0.431
C12 0.237 0.883 0.931
C13 0.307 0.666 0.567
C14 0.307 0.834 0.067
C15 0.371 0.149 0.620
C16 0.371 0.351 0.120
C17 0.629 0.649 0.880
C18 0.629 0.851 0.380
C19 0.693 0.166 0.933
C20 0.693 0.334 0.433
C21 0.763 0.117 0.069
C22 0.763 0.383 0.569
C23 0.792 0.636 0.891
C24 0.792 0.864 0.391
C25 0.803 0.233 0.038
C26 0.803 0.267 0.538
C27 0.811 0.537 0.885
C28 0.811 0.963 0.385
C29 0.821 0.604 0.772
C30 0.821 0.896 0.272
C31 0.855 0.153 0.977
C32 0.855 0.347 0.477
Br1 0.004 0.162 0.292
Br2 0.004 0.338 0.792
Br3 0.184 0.541 0.820
Br4 0.184 0.959 0.320
Br5 0.272 0.095 0.067
Br6 0.272 0.405 0.567
Br7 0.447 0.161 0.326
Br8 0.447 0.339 0.826
Br9 0.553 0.661 0.174
Br10 0.553 0.839 0.674
Br11 0.728 0.595 0.433
Br12 0.728 0.905 0.933
Br13 0.816 0.041 0.680
Br14 0.816 0.459 0.180
Br15 0.996 0.662 0.208
Br16 0.996 0.838 0.708
N1 0.335 0.071 0.684
N2 0.335 0.429 0.184
N3 0.349 0.690 0.451
N4 0.349 0.810 0.951
N5 0.651 0.190 0.049
N6 0.651 0.310 0.549
N7 0.665 0.571 0.816
N8 0.665 0.929 0.316

Version x
# MnC8Br4N2

MnC8Br4N2 after structural relaxation (PBE, the Materials Project).

Cell lengths 11.889, 8.341, 16.308 Å; angles 90.00, 90.00, 90.00 degrees
Positions (direct):
Mn1 0.249 0.250 0.089
Mn2 0.251 0.750 0.589
Mn3 0.749 0.250 0.411
Mn4 0.751 0.750 0.911
C1 0.027 0.129 0.783
C2 0.027 0.371 0.783
C3 0.030 0.250 0.730
C4 0.083 0.250 0.478
C5 0.121 0.163 0.349
C6 0.121 0.337 0.349
C7 0.126 0.750 0.082
C8 0.239 0.250 0.365
C9 0.261 0.750 0.865
C10 0.374 0.250 0.582
C11 0.379 0.663 0.849
C12 0.379 0.837 0.849
C13 0.417 0.750 0.978
C14 0.470 0.750 0.230
C15 0.473 0.629 0.283
C16 0.473 0.871 0.283
C17 0.527 0.129 0.717
C18 0.527 0.371 0.717
C19 0.530 0.250 0.770
C20 0.583 0.250 0.022
C21 0.621 0.163 0.151
C22 0.621 0.337 0.151
C23 0.626 0.750 0.418
C24 0.739 0.250 0.135
C25 0.761 0.750 0.635
C26 0.874 0.250 0.918
C27 0.879 0.663 0.651
C28 0.879 0.837 0.651
C29 0.917 0.750 0.522
C30 0.970 0.750 0.270
C31 0.973 0.629 0.217
C32 0.973 0.871 0.217
Br1 0.063 0.250 0.097
Br2 0.188 0.535 0.658
Br3 0.188 0.965 0.658
Br4 0.197 0.750 0.457
Br5 0.303 0.250 0.957
Br6 0.312 0.035 0.158
Br7 0.312 0.465 0.158
Br8 0.437 0.750 0.597
Br9 0.563 0.250 0.403
Br10 0.688 0.535 0.842
Br11 0.688 0.965 0.842
Br12 0.697 0.750 0.043
Br13 0.803 0.250 0.543
Br14 0.812 0.035 0.342
Br15 0.812 0.465 0.342
Br16 0.937 0.750 0.903
N1 0.033 0.750 0.109
N2 0.175 0.250 0.442
N3 0.325 0.750 0.942
N4 0.467 0.250 0.609
N5 0.533 0.750 0.391
N6 0.675 0.250 0.058
N7 0.825 0.750 0.558
N8 0.967 0.250 0.891

Short version: version w is the most stable of them.

Version w
# MnC4Br3N

MnC4Br3N after structural relaxation (PBE, the Materials Project).

Cell lengths 8.407, 6.239, 8.692 Å; angles 90.00, 114.45, 90.00 degrees
Positions (direct):
Mn1 0.000 0.000 0.000
Mn2 0.000 0.500 0.000
C1 0.186 0.256 0.605
C2 0.338 0.266 0.539
C3 0.346 0.400 0.684
C4 0.450 0.282 0.832
C5 0.550 0.782 0.168
C6 0.654 0.900 0.316
C7 0.662 0.766 0.461
C8 0.814 0.756 0.395
Br1 0.099 0.750 0.829
Br2 0.164 0.751 0.247
Br3 0.265 0.250 0.069
Br4 0.735 0.750 0.931
Br5 0.836 0.251 0.753
Br6 0.901 0.250 0.171
N1 0.359 0.133 0.698
N2 0.641 0.633 0.302

Version x
# MnC4Br3N

MnC4Br3N after structural relaxation (PBE, the Materials Project).

Cell lengths 10.117, 6.307, 10.636 Å; angles 90.00, 115.14, 90.00 degrees
Positions (direct):
Mn1 0.000 0.000 0.000
Mn2 0.000 0.500 0.000
C1 0.178 0.132 0.549
C2 0.295 0.105 0.517
C3 0.315 0.204 0.641
C4 0.402 0.307 0.763
C5 0.598 0.807 0.237
C6 0.685 0.704 0.359
C7 0.705 0.605 0.483
C8 0.822 0.632 0.451
Br1 0.093 0.750 0.867
Br2 0.128 0.750 0.205
Br3 0.217 0.251 0.070
Br4 0.783 0.751 0.930
Br5 0.872 0.250 0.795
Br6 0.907 0.250 0.133
N1 0.472 0.402 0.866
N2 0.528 0.902 0.134

Short version: version x is the most stable of them.

Version w
# PbC2S2Br2N4

PbC2S2Br2N4 after structural relaxation (PBE, the Materials Project).

Cell lengths 4.006, 18.848, 8.248 Å; angles 90.00, 98.41, 90.00 degrees
Positions (direct):
Pb1 0.119 0.000 0.289
Pb2 0.881 0.500 0.711
C1 0.041 0.842 0.814
C2 0.129 0.252 0.724
C3 0.871 0.752 0.276
C4 0.959 0.342 0.186
S1 0.274 0.710 0.745
S2 0.327 0.379 0.774
S3 0.673 0.879 0.226
S4 0.726 0.210 0.255
Br1 0.381 0.570 0.498
Br2 0.492 0.542 0.953
Br3 0.508 0.042 0.047
Br4 0.619 0.070 0.502
N1 0.003 0.199 0.762
N2 0.085 0.399 0.179
N3 0.178 0.782 0.818
N4 0.283 0.307 0.668
N5 0.717 0.807 0.332
N6 0.822 0.282 0.182
N7 0.915 0.899 0.821
N8 0.997 0.699 0.238

Version x
# PbC2S2Br2N4

PbC2S2Br2N4 after structural relaxation (PBE, the Materials Project).

Cell lengths 4.232, 13.799, 10.087 Å; angles 90.00, 91.96, 90.00 degrees
Positions (direct):
Pb1 0.167 0.000 0.227
Pb2 0.833 0.500 0.773
C1 0.064 0.218 0.688
C2 0.111 0.788 0.771
C3 0.889 0.288 0.229
C4 0.936 0.718 0.312
S1 0.162 0.704 0.666
S2 0.320 0.359 0.804
S3 0.680 0.859 0.196
S4 0.838 0.204 0.334
Br1 0.388 0.033 0.476
Br2 0.457 0.558 0.981
Br3 0.543 0.058 0.019
Br4 0.612 0.533 0.524
N1 0.063 0.886 0.801
N2 0.078 0.825 0.899
N3 0.112 0.653 0.305
N4 0.264 0.291 0.675
N5 0.736 0.791 0.325
N6 0.888 0.153 0.695
N7 0.922 0.325 0.101
N8 0.937 0.386 0.199

Short version: version w is the most stable of them.